[1]
36
Lattice="6.497 0.000 0.861 0.000 6.871 0.000 -1.347 0.000 13.391" Properties=species:S:1:pos:R:3 comment="SrHf7N10 | the Materials Project | PBE | optimized geometry" crystal_system=monoclinic pbc="T T T"
Sr 4.946 0.425 9.028
Sr 5.620 6.446 2.332
Hf 2.755 0.308 11.598
Hf 3.429 6.563 4.902
Hf 2.600 6.617 0.864
Hf 1.926 0.254 7.560
Hf 0.694 2.851 1.157
Hf 0.021 4.020 7.853
Hf 3.188 2.817 13.804
Hf 3.862 4.054 7.108
Hf 4.682 4.132 11.296
Hf 5.355 2.739 4.600
Hf 0.830 4.094 12.048
Hf 1.503 2.777 5.353
Hf 2.331 2.868 9.590
Hf 3.005 4.003 2.895
N 4.347 6.074 11.203
N 5.020 0.797 4.507
N 2.926 0.816 13.745
N 3.599 6.055 7.050
N 1.224 6.024 12.227
N 1.898 0.847 5.531
N 1.031 0.937 0.986
N 0.358 5.934 7.682
N 0.314 3.688 9.985
N 0.988 3.183 3.290
N 2.423 0.884 9.548
N 3.096 5.987 2.852
N 5.001 3.300 2.498
N 4.327 3.571 9.194
N 5.205 3.565 13.384
N 5.878 3.306 6.689
N 2.740 3.074 11.703
N 3.413 3.797 5.008
N 2.584 3.782 0.788
N 1.911 3.089 7.484

[2]
4
Lattice="3.002 1.880 -0.746 -3.252 1.499 -0.527 0.059 1.846 4.888" Properties=species:S:1:pos:R:3 comment="ZrB | the Materials Project | PBE | optimized geometry" crystal_system=hexagonal pbc="T T T"
Zr -1.153 2.088 0.622
Zr 0.962 3.137 2.993
B 0.000 0.000 0.000
B 0.030 0.923 2.444

[3]
126
Lattice="8.935 0.000 0.000 -4.468 7.738 0.000 0.000 0.000 21.776" Properties=species:S:1:pos:R:3 comment="Na8Mg3GeP6O24 | the Materials Project | PBE | optimized geometry" crystal_system=trigonal pbc="T T T"
Na 1.214 7.737 5.508
Na 1.626 2.818 5.508
Na -2.840 4.920 5.508
Na 2.916 4.927 16.192
Na 7.277 2.749 16.192
Na 3.210 0.062 16.192
Na 1.149 2.585 12.645
Na -2.803 5.451 12.645
Na 1.654 7.440 12.645
Na -1.658 7.445 1.988
Na 2.809 5.451 1.988
Na -1.151 2.580 1.988
Na 5.651 5.215 19.942
Na 6.158 0.237 19.942
Na 1.593 2.287 19.942
Na 7.387 2.347 8.921
Na 2.807 0.167 8.921
Na 3.209 5.224 8.921
Na 0.000 0.000 10.828
Na 0.000 0.000 0.069
Na 4.468 2.579 18.076
Na 4.468 2.579 7.158
Na 0.000 5.159 3.769
Na 0.000 5.159 14.384
Mg 0.000 0.000 7.585
Mg 0.000 0.000 18.498
Mg 0.000 0.000 14.127
Mg 0.000 0.000 3.326
Mg 4.468 2.579 14.892
Mg 4.468 2.579 4.060
Mg 0.000 5.159 0.421
Mg 0.000 5.159 11.223
Mg 0.000 5.159 6.916
Ge 4.468 2.579 21.462
Ge 4.468 2.579 10.512
Ge 0.000 5.159 17.778
P -1.815 7.727 5.435
P 3.132 5.447 5.435
P -1.316 2.303 5.435
P 1.290 2.335 16.398
P -3.090 5.453 16.398
P 1.800 7.688 16.398
P 7.057 2.581 12.712
P 3.174 0.336 12.712
P 3.172 4.821 12.712
P 5.762 4.818 1.789
P 5.759 0.339 1.789
P 1.882 2.581 1.789
P 2.608 5.128 19.992
P -1.330 2.916 19.992
P -1.277 7.432 19.992
P 1.300 7.500 9.144
P 1.377 2.863 9.144
P -2.677 5.114 9.144
O 1.777 0.186 6.678
O 3.740 6.107 6.678
O 7.886 1.446 6.678
O 1.044 1.501 17.646
O 5.245 6.083 17.646
O 7.113 0.154 17.646
O 2.636 7.403 15.155
O 0.626 1.753 15.155
O -3.262 6.319 15.155
O 3.374 6.285 4.158
O -0.712 1.673 4.158
O -2.662 7.518 4.158
O 6.220 2.784 13.972
O 3.769 0.960 13.972
O 3.415 3.994 13.972
O 5.498 3.944 2.973
O 5.134 1.004 2.973
O 2.770 2.790 2.973
O 2.793 2.324 0.455
O 5.083 4.157 0.455
O 5.526 1.257 0.455
O 3.443 1.260 11.459
O 3.837 4.127 11.459
O 6.123 2.351 11.459
O 1.744 5.344 21.199
O -0.712 3.556 21.199
O -1.033 6.576 21.199
O 1.059 6.659 10.390
O 0.770 3.492 10.390
O -1.829 5.325 10.390
O -1.833 4.831 7.904
O 0.633 6.910 7.904
O 1.200 3.735 7.904
O -1.115 3.837 18.710
O -0.587 6.785 18.710
O 1.702 4.854 18.710
O -3.624 6.329 9.017
O 2.826 7.712 9.017
O 0.798 1.434 9.017
O -0.745 1.504 19.822
O -2.792 7.631 19.822
O 3.537 6.341 19.822
O 7.930 1.295 12.755
O 1.625 0.223 12.755
O 3.848 6.220 12.755
O 5.097 6.210 1.785
O 7.297 0.219 1.785
O 1.009 1.310 1.785
O 5.320 1.165 16.284
O 2.816 2.548 16.284
O 5.266 4.025 16.284
O 3.776 4.036 5.347
O 6.074 2.450 5.347
O 3.552 1.253 5.347
O 3.502 3.799 20.038
O 6.007 2.805 20.038
O 3.894 1.133 20.038
O 5.074 1.217 9.267
O 2.985 2.735 9.267
O 5.344 3.786 9.267
O 0.999 3.836 1.635
O -1.645 4.955 1.635
O 0.646 6.686 1.635
O -0.661 6.670 12.579
O 1.640 4.975 12.579
O -0.979 3.830 12.579
O -0.916 6.460 5.545
O 1.585 5.301 5.545
O -0.669 3.714 5.545
O 0.591 3.793 16.531
O -1.478 5.330 16.531
O 0.888 6.353 16.531

[4]
68
Lattice="5.016 -8.688 0.000 5.016 8.688 0.000 0.000 0.000 22.753" Properties=species:S:1:pos:R:3 comment="Pr23Mg4Ni7 | the Materials Project | PBE | optimized geometry" crystal_system=hexagonal pbc="T T T"
Pr 5.016 -5.088 21.578
Pr 3.103 4.001 13.347
Pr 3.118 -1.800 21.578
Pr 5.016 -2.896 14.683
Pr 6.915 -1.800 21.578
Pr 6.930 -4.001 1.970
Pr 5.016 -5.096 5.003
Pr 5.016 5.096 16.380
Pr 3.188 1.841 22.582
Pr 3.111 1.796 16.380
Pr 8.108 -1.111 14.405
Pr 5.016 6.466 3.029
Pr 3.157 3.970 19.489
Pr 1.925 -1.111 14.405
Pr 0.000 0.000 22.718
Pr 3.118 1.800 10.201
Pr 6.921 1.796 16.380
Pr 6.844 1.841 22.582
Pr 6.921 -1.796 5.003
Pr 5.016 5.124 6.420
Pr 5.016 -5.124 17.797
Pr 6.946 -1.782 17.797
Pr 5.016 0.749 19.489
Pr 0.000 0.000 11.341
Pr 8.108 1.111 3.029
Pr 5.016 -5.007 11.206
Pr 1.925 1.111 3.029
Pr 5.016 -0.687 1.970
Pr 5.016 2.896 3.307
Pr 6.876 3.970 19.489
Pr 5.016 5.088 10.201
Pr 6.876 -3.970 8.113
Pr 3.188 -1.841 11.206
Pr 5.016 5.007 22.582
Pr 3.157 -3.970 8.113
Pr 6.930 4.001 13.347
Pr 5.016 -0.749 8.113
Pr 6.915 1.800 10.201
Pr 5.016 0.687 13.347
Pr 3.111 -1.796 5.003
Pr 3.087 1.782 6.420
Pr 3.087 -1.782 17.797
Pr 6.946 1.782 6.420
Pr 5.016 -6.466 14.405
Pr 6.844 -1.841 11.206
Pr 3.103 -4.001 1.970
Mg 8.445 -0.917 8.269
Mg 0.000 0.000 17.060
Mg 1.588 -0.917 8.269
Mg 8.445 0.917 19.646
Mg 5.016 -6.855 8.269
Mg 1.588 0.917 19.646
Mg 0.000 0.000 5.684
Mg 5.016 6.855 19.646
Ni 2.147 -1.240 1.448
Ni 5.016 2.896 8.257
Ni 5.016 0.369 4.806
Ni 7.885 -1.240 1.448
Ni 2.147 1.240 12.824
Ni 2.828 4.160 4.806
Ni 5.016 6.209 12.824
Ni 5.016 -2.896 19.633
Ni 5.016 -6.209 1.448
Ni 7.885 1.240 12.824
Ni 2.828 -4.160 16.182
Ni 7.205 -4.160 16.182
Ni 5.016 -0.369 16.182
Ni 7.205 4.160 4.806

[5]
28
Lattice="12.597 0.000 0.000 0.000 7.761 0.000 0.000 6.115 7.956" Properties=species:S:1:pos:R:3 comment="K3FeS3 | the Materials Project | PBE | optimized geometry" crystal_system=monoclinic pbc="T T T"
K 11.584 8.761 4.817
K 5.285 8.173 7.116
K 1.014 5.116 3.138
K 7.312 5.703 0.840
K 7.950 7.952 4.166
K 1.652 8.982 7.768
K 4.647 5.924 3.790
K 10.945 4.895 0.188
K 10.209 4.568 4.593
K 3.910 12.366 7.340
K 2.388 9.308 3.362
K 8.687 1.510 0.616
Fe 6.998 11.278 5.181
Fe 0.699 5.656 6.753
Fe 5.599 2.599 2.775
Fe 11.898 8.220 1.203
S 1.379 7.343 0.967
S 7.677 3.476 3.011
S 11.218 6.533 6.989
S 4.920 10.400 4.945
S 0.571 11.344 5.907
S 6.870 5.590 6.026
S 12.026 2.532 2.049
S 5.727 8.286 1.929
S 8.434 10.023 6.405
S 2.136 6.911 5.529
S 4.163 3.853 1.551
S 10.461 6.965 2.427

[6]
52
Lattice="-6.176 1.166 -7.182 2.345 -8.785 2.898 -13.447 0.237 11.602" Properties=species:S:1:pos:R:3 comment="CsSrTa6Cl18 | the Materials Project | PBE | optimized geometry" crystal_system=trigonal pbc="T T T"
Cs -10.581 -5.290 8.239
Cs -6.697 -2.092 -0.922
Sr -13.421 -1.973 4.879
Sr -3.857 -5.409 2.438
Ta -12.752 0.799 0.635
Ta -4.526 -8.180 6.683
Ta -11.691 -5.828 2.000
Ta -15.854 -5.882 7.102
Ta -5.587 -1.554 5.317
Ta -1.424 -1.500 0.215
Ta -8.457 -1.019 5.650
Ta -18.123 -0.034 4.353
Ta -8.821 -6.362 1.667
Ta 0.845 -7.347 2.965
Ta -13.649 0.128 9.535
Ta -3.629 -7.510 -2.218
Cl -12.587 0.277 3.186
Cl -4.691 -7.658 4.131
Cl -13.192 -3.770 2.569
Cl -14.002 -4.060 6.861
Cl -4.086 -3.611 4.749
Cl -3.276 -3.322 0.456
Cl -10.607 -2.493 5.538
Cl -16.272 -1.866 4.185
Cl -6.670 -4.888 1.779
Cl -1.006 -5.515 3.132
Cl -13.865 0.076 6.935
Cl -3.413 -7.457 0.382
Cl -8.570 -1.784 7.982
Cl -8.708 -5.598 -0.664
Cl -11.706 -6.108 4.436
Cl -9.677 -6.917 11.836
Cl -5.572 -1.274 2.882
Cl -7.601 -0.465 -4.519
Cl -7.733 -8.045 9.080
Cl -13.861 -7.313 6.994
Cl -9.544 0.663 -1.762
Cl -3.417 -0.068 0.323
Cl -11.937 -1.574 9.107
Cl -5.341 -5.808 -1.789
Cl -7.424 -3.160 5.044
Cl -9.854 -4.221 2.273
Cl -8.349 -6.753 4.045
Cl 0.347 -7.246 0.563
Cl -8.929 -0.628 3.272
Cl -17.625 -0.135 6.755
Cl -5.865 -6.135 6.911
Cl -1.943 -5.727 -2.123
Cl -11.413 -1.247 0.406
Cl -15.335 -1.655 9.440
Cl 0.092 -3.431 0.190
Cl -17.370 -3.951 7.128

[7]
64
Lattice="9.478 0.000 0.000 0.000 9.891 0.000 0.000 0.000 10.679" Properties=species:S:1:pos:R:3 comment="KBC4NF9 | the Materials Project | PBE | optimized geometry" crystal_system=orthorhombic e_above_lowest_polymorph_mev_per_atom=28.0 pbc="T T T"
K 4.820 2.202 2.670
K 0.081 2.744 8.009
K 4.658 7.689 8.009
K 9.397 7.147 2.670
B 9.278 2.840 2.670
B 4.539 2.105 8.009
B 4.940 7.786 2.670
B 0.201 7.050 8.009
C 8.139 6.465 8.009
C 1.006 6.551 9.358
C 3.734 1.606 6.661
C 4.849 5.110 2.670
C 1.340 3.426 2.670
C 8.473 3.340 1.321
C 4.629 4.781 8.009
C 5.745 8.285 4.018
C 9.368 0.165 2.670
C 6.079 1.519 8.009
C 3.399 8.372 2.670
C 0.110 9.726 8.009
C 3.734 1.606 9.358
C 1.006 6.551 6.661
C 5.745 8.285 1.321
C 8.473 3.340 4.018
N 4.592 3.606 8.009
N 4.887 6.284 2.670
N 9.331 1.339 2.670
N 0.148 8.552 8.009
F 7.402 6.865 9.101
F 3.596 0.237 9.458
F 1.409 4.813 2.670
F 6.815 1.920 6.917
F 5.883 9.653 1.221
F 0.393 6.950 5.490
F 8.069 5.078 8.009
F 7.402 6.865 6.917
F 7.028 7.781 4.099
F 1.144 5.183 9.458
F 2.450 2.110 6.580
F 4.346 2.004 5.490
F 3.330 9.758 2.670
F 2.289 7.056 9.438
F 5.132 7.887 5.189
F 7.189 2.835 4.099
F 8.335 4.708 1.221
F 6.148 0.133 8.009
F 5.132 7.887 0.151
F 7.189 2.835 1.241
F 7.028 7.781 1.241
F 2.663 7.971 1.578
F 5.883 9.653 4.119
F 2.289 7.056 6.580
F 3.596 0.237 6.560
F 4.346 2.004 10.528
F 2.450 2.110 9.438
F 2.663 7.971 3.761
F 1.144 5.183 6.560
F 8.335 4.708 4.119
F 0.393 6.950 10.528
F 9.086 2.941 5.189
F 9.086 2.941 0.151
F 6.815 1.920 9.101
F 2.076 3.026 3.761
F 2.076 3.026 1.578

[8]
12
Lattice="-2.963 1.020 -7.638 -2.432 -3.754 -6.939 -6.304 -1.453 -5.130" Properties=species:S:1:pos:R:3 comment="Zr3Co8Si | the Materials Project | PBE | optimized geometry" crystal_system=trigonal pbc="T T T"
Zr -7.283 -2.606 -12.269
Zr -0.111 -0.040 -0.187
Zr -5.780 -2.068 -9.737
Co -5.358 -0.471 -7.599
Co -1.920 -2.129 -4.657
Co -5.091 -2.865 -7.249
Co -2.186 0.258 -5.006
Co -9.473 -3.390 -15.959
Co -3.630 -1.299 -6.115
Co -3.416 -1.625 -8.507
Co -3.857 -0.979 -3.752
Si -1.614 -0.577 -2.719

Per-record energy relative to the elements, eV per atom: -1.667; -0.411; -2.688; -0.165; -1.134; -1.915; -1.632; -0.270